1.
# Cr3O5

A relaxed Cr3O5 crystal (PBE+U, Materials Project).

Geometry as extended XYZ:
```
8
Lattice="4.810 0.000 0.000 -2.220 4.797 0.000 -0.152 -2.352 4.743" Properties=species:S:1:pos:R:3 pbc="T T T"
Cr 0.000 0.000 0.000
Cr -0.492 0.220 2.609
Cr 2.054 1.973 0.450
O 0.693 -0.857 3.831
O 1.090 0.538 1.454
O 1.732 3.502 1.362
O 2.955 0.788 3.873
O 3.573 1.197 0.988
```

Values from the calculation:
- Formation energy from the elements: -1.887 eV per atom
- Energy with MP2020 corrections: -8.60 eV/atom
- M_tot: 8.000 μB/f.u.

---

2.
# Cr3O8

A relaxed Cr3O8 crystal (PBE+U, Materials Project).

Geometry as extended XYZ:
```
11
Lattice="4.877 -2.846 0.000 4.877 2.846 0.000 -4.822 0.000 5.244" Properties=species:S:1:pos:R:3 pbc="T T T"
Cr 0.000 0.000 0.000
Cr -1.570 0.000 4.591
Cr 6.502 0.000 0.653
O -3.250 0.000 4.125
O -0.771 1.428 4.131
O 3.265 0.000 0.926
O 5.703 1.428 1.113
O -0.771 -1.428 4.131
O 1.666 0.000 4.318
O 5.703 -1.428 1.113
O 8.182 0.000 1.120
```

Values from the calculation:
- Formation energy from the elements: -1.558 eV per atom
- Energy with MP2020 corrections: -7.79 eV/atom
- Excess energy over the best structure of this formula in the dataset: 94.3 meV per atom
- M_tot: 2.000 μB/f.u.